# KLiGdF5

An optimized crystal structure of KLiGdF5 (r²SCAN, Materials Project).

Energy: -390.0 eV per cell
DFT formation energy: -3.758 eV/atom

a = 6.529 Å, b = 11.731 Å, c = 6.336 Å
α = 90.00°, β = 113.41°, γ = 90.00°
Space group P2_1/c (No. 14)
One atom of each set of equivalent atoms:
K 0.054 0.151 0.039
Li 0.441 0.744 0.540
Gd 0.317 0.504 0.180
F 0.043 0.508 0.822
F 0.279 0.701 0.222
F 0.289 0.176 0.788
F 0.334 0.537 0.549
F 0.459 0.108 0.461